## P28Pb5I2 (GGA-PBE)

Data for an optimized crystal structure of P28Pb5I2.

Cell: 18.1680 9.8765 19.7888 Å, 83.74 90.00 90.00°
Closest atoms and distances in Å follow each position.
Sites, in units of the cell vectors:
Pb1 0.1284 0.7080 0.0429  4 P 2.83-3.08
Pb2 0.6651 0.8045 0.7963  4 P 2.83-3.07
Pb3 0.8345 0.7809 0.0237  3 P 2.83-3.04
Pb4 0.6655 0.2809 0.5237  3 P 2.83-3.04
Pb5 0.1651 0.6955 0.7037  4 P 2.83-3.07
Pb6 0.3716 0.2080 0.5429  4 P 2.83-3.08
Pb7 0.6397 0.3048 0.1274  2 I 3.11-3.23, 4 P 3.12-3.28
Pb8 0.3345 0.7191 0.4763  3 P 2.83-3.04
Pb9 0.8716 0.2920 0.9571  4 P 2.83-3.08
Pb10 0.3349 0.1955 0.2037  4 P 2.83-3.07
Pb11 0.8349 0.3045 0.2963  4 P 2.83-3.07
Pb12 0.2961 0.6901 0.2646  3 P 2.83-2.97
Pb13 0.7039 0.3099 0.7354  3 P 2.83-2.97
Pb14 0.7961 0.8099 0.2354  3 P 2.83-2.97
Pb15 0.8603 0.8048 0.6274  2 I 3.11-3.23, 4 P 3.12-3.28
Pb16 0.1655 0.2191 0.9763  3 P 2.83-3.04
Pb17 0.1397 0.1952 0.3726  2 I 3.11-3.23, 4 P 3.12-3.28
Pb18 0.6284 0.7920 0.4571  4 P 2.83-3.08
Pb19 0.3603 0.6952 0.8726  2 I 3.11-3.23, 4 P 3.12-3.28
Pb20 0.2039 0.1901 0.7646  3 P 2.83-2.97
P1 0.8446 0.0015 0.8263  3 P 2.19-2.23
P2 0.3999 0.6692 0.7172  3 P 2.22-2.25
P3 0.0317 0.3877 0.6486  3 P 2.18-2.24
P4 0.1327 0.2358 0.5272  3 P 2.22-2.24
P5 0.8914 0.6033 0.9336  2 P 2.19
P6 0.9843 0.5052 0.1763  3 P 2.21-2.32
P7 0.0240 0.7126 0.6430  2 P 2.21
P8 0.9934 0.3640 0.0964  3 P 2.19-2.23
P9 0.0134 0.8216 0.8288  3 P 2.23-2.25
P10 0.8673 0.7642 0.4728  3 P 2.22-2.24
P11 0.8047 0.9441 0.4263  3 P 2.19-2.22
P12 0.6554 0.5015 0.3263  3 P 2.19-2.23
P13 0.6354 0.5883 0.9850  3 P 2.22-2.30
P14 0.1488 0.4084 0.6698  2 P 2.18-2.19
P15 0.5242 0.6006 0.9294  3 P 2.21-2.30
P16 0.3914 0.8967 0.5664  2 P 2.19
P17 0.8704 0.4239 0.4890  3 P 2.22-2.29
P18 0.4056 0.3313 0.7348  3 P 2.22-2.31
P19 0.8072 0.5943 0.4329  3 P 2.19-2.23
P20 0.0087 0.9829 0.8991  3 P 2.18-2.23
P21 0.5087 0.5171 0.6009  3 P 2.18-2.23
P22 0.4658 0.5367 0.1520  3 P 2.18-2.23
P23 0.6506 0.4939 0.8239  2 P 2.18-2.19
P24 0.9760 0.2874 0.3570  2 P 2.21
P25 0.5944 0.6687 0.2652  3 P 2.22-2.31
P26 0.3494 0.5061 0.1761  2 P 2.18-2.19
P27 0.5134 0.6784 0.6712  3 P 2.23-2.25
P28 0.5240 0.7874 0.8570  2 P 2.21
P29 0.0342 0.0367 0.6520  3 P 2.18-2.23
P30 0.9658 0.9633 0.3480  3 P 2.18-2.23
P31 0.5317 0.1123 0.8514  3 P 2.18-2.24
P32 0.5342 0.4633 0.8480  3 P 2.18-2.23
P33 0.4758 0.3994 0.0706  3 P 2.21-2.30
P34 0.9770 0.7748 0.4205  3 P 2.22-2.24
P35 0.8414 0.6498 0.8331  3 P 2.19-2.22
P36 0.9876 0.6924 0.1039  2 P 2.21
P37 0.8934 0.0020 0.9272  2 P 2.18-2.19
P38 0.6586 0.1498 0.3331  3 P 2.19-2.22
P39 0.0242 0.8994 0.5706  3 P 2.21-2.30
P40 0.9913 0.0171 0.1009  3 P 2.18-2.23
P41 0.6953 0.4441 0.9263  3 P 2.19-2.22
P42 0.8494 0.9939 0.3239  2 P 2.18-2.19
P43 0.1506 0.0061 0.6761  2 P 2.18-2.19
P44 0.6066 0.5020 0.4272  2 P 2.18-2.19
P45 0.1948 0.7277 0.5605  2 P 2.22
P46 0.3072 0.9057 0.0671  3 P 2.19-2.23
P47 0.4843 0.9948 0.3237  3 P 2.21-2.32
P48 0.8999 0.8308 0.7828  3 P 2.22-2.25
P49 0.1296 0.5761 0.5110  3 P 2.22-2.29
P50 0.4010 0.9903 0.7284  3 P 2.22-2.32
P51 0.1554 0.9985 0.1737  3 P 2.19-2.23
P52 0.3704 0.0761 0.0110  3 P 2.22-2.29
P53 0.0183 0.1610 0.8198  3 P 2.21-2.31
P54 0.8420 0.3226 0.8147  2 P 2.22
P55 0.5193 0.9366 0.9325  3 P 2.21-2.29
P56 0.3512 0.9084 0.1698  2 P 2.18-2.19
P57 0.1086 0.3967 0.0664  2 P 2.19
P58 0.4876 0.8076 0.3961  2 P 2.21
P59 0.5230 0.2748 0.9205  3 P 2.22-2.24
P60 0.0230 0.2252 0.5795  3 P 2.22-2.24
P61 0.3934 0.4980 0.5728  2 P 2.18-2.19
P62 0.4913 0.4829 0.3991  3 P 2.18-2.23
P63 0.8512 0.5916 0.3302  2 P 2.18-2.19
P64 0.5124 0.1924 0.6039  2 P 2.21
P65 0.4817 0.6610 0.3198  3 P 2.21-2.31
P66 0.6001 0.3308 0.2828  3 P 2.22-2.25
P67 0.0124 0.3076 0.8961  2 P 2.21
P68 0.6488 0.0916 0.8302  2 P 2.18-2.19
P69 0.4760 0.2126 0.1430  2 P 2.21
P70 0.3673 0.7358 0.0272  3 P 2.22-2.24
P71 0.4866 0.3216 0.3288  3 P 2.23-2.25
P72 0.6948 0.7723 0.9395  2 P 2.22
P73 0.5066 0.8640 0.5964  3 P 2.19-2.23
P74 0.9056 0.1687 0.7652  3 P 2.22-2.31
P75 0.9758 0.1006 0.4294  3 P 2.21-2.30
P76 0.1354 0.9117 0.5150  3 P 2.22-2.30
P77 0.0944 0.8313 0.2348  3 P 2.22-2.31
P78 0.3420 0.1774 0.6853  2 P 2.22
P79 0.1928 0.4057 0.5671  3 P 2.19-2.23
P80 0.1586 0.3502 0.1669  3 P 2.19-2.22
P81 0.3047 0.5559 0.0737  3 P 2.19-2.22
P82 0.3414 0.8502 0.6669  3 P 2.19-2.22
P83 0.1001 0.1692 0.2172  3 P 2.22-2.25
P84 0.6086 0.1033 0.4336  2 P 2.19
P85 0.8052 0.2723 0.4395  2 P 2.22
P86 0.5183 0.3390 0.6802  3 P 2.21-2.31
P87 0.0990 0.4903 0.2284  3 P 2.22-2.32
P88 0.4770 0.7252 0.0795  3 P 2.22-2.24
P89 0.9866 0.1784 0.1712  3 P 2.23-2.25
P90 0.9683 0.6123 0.3514  3 P 2.18-2.24
P91 0.1066 0.9980 0.0728  2 P 2.18-2.19
P92 0.9807 0.4366 0.4325  3 P 2.21-2.29
P93 0.6327 0.2642 0.9728  3 P 2.22-2.24
P94 0.0066 0.6360 0.9036  3 P 2.19-2.23
P95 0.4807 0.0634 0.0675  3 P 2.21-2.29
P96 0.5157 0.0052 0.6763  3 P 2.21-2.32
P97 0.3646 0.4117 0.0150  3 P 2.22-2.30
P98 0.3052 0.2277 0.0605  2 P 2.22
P99 0.6580 0.8226 0.3147  2 P 2.22
P100 0.0157 0.4948 0.8237  3 P 2.21-2.32
P101 0.1953 0.0559 0.5737  3 P 2.19-2.22
P102 0.6296 0.9239 0.9890  3 P 2.22-2.29
P103 0.9817 0.8390 0.1802  3 P 2.21-2.31
P104 0.6928 0.0943 0.9329  3 P 2.19-2.23
P105 0.8646 0.0883 0.4850  3 P 2.22-2.30
P106 0.4934 0.1360 0.4036  3 P 2.19-2.23
P107 0.3446 0.4985 0.6737  3 P 2.19-2.23
P108 0.0193 0.5634 0.5675  3 P 2.21-2.29
P109 0.5990 0.0097 0.2716  3 P 2.22-2.32
P110 0.4683 0.8877 0.1486  3 P 2.18-2.24
P111 0.9010 0.5097 0.7716  3 P 2.22-2.32
P112 0.1580 0.6774 0.1853  2 P 2.22
I1 0.2333 0.9051 0.8764  2 Pb 3.11-3.43
I2 0.2667 0.4051 0.3764  2 Pb 3.11-3.43
I3 0.7667 0.0949 0.1236  2 Pb 3.11-3.43
I4 0.7726 0.5210 0.1338  2 Pb 3.23-3.37
I5 0.2274 0.4790 0.8662  2 Pb 3.23-3.37
I6 0.7333 0.5949 0.6236  2 Pb 3.11-3.43
I7 0.7274 0.0210 0.6338  2 Pb 3.23-3.37
I8 0.2726 0.9790 0.3662  2 Pb 3.23-3.37

Results
Total DFT energy (no corrections) ... -5.02 eV per atom
ΔE_f ... -0.091 eV/atom
SG ... P2_1/c, No. 14